#i
{"formula": "Li5Mn3O8", "functional": "PBE with a Hubbard U", "state": "relaxed", "sg": "P-1", "total_magnetization_mub_per_atom": 0.625, "vol_a3_per_cell": 285, "lattice_angstrom": [[4.978, -0.112, 0.269], [1.948, 9.588, 0.659], [-0.239, -0.224, 5.928]], "species": ["Li", "Li", "Li", "Li", "Li", "Li", "Li", "Li", "Li", "Li", "Mn", "Mn", "Mn", "Mn", "Mn", "Mn", "O", "O", "O", "O", "O", "O", "O", "O", "O", "O", "O", "O", "O", "O", "O", "O"], "frac_coords": [[0.750, 0.250, 0.250], [0.250, 0.750, 0.250], [0.750, 0.250, 0.750], [0.250, 0.750, 0.750], [0.502, 0.998, 0.251], [0.998, 0.502, 0.249], [0.258, 0.253, 0.489], [0.741, 0.750, 0.480], [0.242, 0.247, 0.011], [0.759, 0.750, 0.019], [0.001, 0.498, 0.744], [0.000, 0.999, 0.010], [0.999, 0.001, 0.498], [0.499, 0.002, 0.756], [0.502, 0.499, 0.002], [0.500, 0.501, 0.491], [0.101, 0.114, 0.240], [0.607, 0.622, 0.270], [0.399, 0.386, 0.260], [0.893, 0.878, 0.230], [0.144, 0.115, 0.772], [0.634, 0.608, 0.739], [0.356, 0.385, 0.728], [0.866, 0.892, 0.760], [0.639, 0.110, 0.985], [0.134, 0.607, 0.975], [0.635, 0.112, 0.519], [0.139, 0.612, 0.514], [0.861, 0.390, 0.516], [0.367, 0.893, 0.525], [0.865, 0.388, 0.981], [0.361, 0.888, 0.987]]}

#ii
{"formula": "Li5Mn3O8", "functional": "PBE with a Hubbard U", "state": "relaxed", "sg": "P2/m", "total_magnetization_mub_per_atom": 0.625, "vol_a3_per_cell": 143, "lattice_angstrom": [[-1.254, -4.173, -4.017], [4.547, 0.559, -1.999], [3.208, -3.199, 2.322]], "species": ["Li", "Li", "Li", "Li", "Li", "Mn", "Mn", "Mn", "O", "O", "O", "O", "O", "O", "O", "O"], "frac_coords": [[0.500, 0.000, 0.500], [0.737, 0.500, 0.500], [0.000, 0.000, 0.500], [0.263, 0.500, 0.500], [0.500, 0.500, 0.000], [0.257, 0.000, 0.000], [0.743, 0.000, 0.000], [0.000, 0.500, 0.000], [0.230, 0.745, 0.784], [0.500, 0.226, 0.761], [0.770, 0.745, 0.784], [0.000, 0.251, 0.776], [0.770, 0.255, 0.216], [0.000, 0.749, 0.224], [0.230, 0.255, 0.216], [0.500, 0.774, 0.239]]}

Least stable: #ii

#i
{"formula": "Li5Mn3O8", "functional": "PBE with a Hubbard U", "state": "relaxed", "sg": "P-1", "total_magnetization_mub_per_atom": 0.437, "vol_a3_per_cell": 286, "lattice_angstrom": [[-1.676, -2.863, 3.742], [1.545, -3.044, -3.768], [10.891, -0.643, 4.675]], "species": ["Li", "Li", "Li", "Li", "Li", "Li", "Li", "Li", "Li", "Li", "Mn", "Mn", "Mn", "Mn", "Mn", "Mn", "O", "O", "O", "O", "O", "O", "O", "O", "O", "O", "O", "O", "O", "O", "O", "O"], "frac_coords": [[0.005, 0.502, 0.125], [0.995, 0.498, 0.625], [0.000, 0.500, 0.375], [0.000, 0.500, 0.875], [0.504, 0.005, 0.125], [0.496, 0.995, 0.625], [0.503, 0.504, 0.241], [0.503, 0.505, 0.751], [0.497, 0.495, 0.999], [0.497, 0.495, 0.510], [0.500, 0.000, 0.875], [0.500, 0.000, 0.375], [0.006, 0.002, 0.003], [0.991, 0.992, 0.502], [0.008, 0.008, 0.248], [0.995, 0.998, 0.747], [0.235, 0.249, 0.139], [0.207, 0.222, 0.614], [0.793, 0.778, 0.135], [0.765, 0.751, 0.611], [0.242, 0.218, 0.375], [0.263, 0.234, 0.881], [0.758, 0.782, 0.375], [0.737, 0.767, 0.869], [0.741, 0.214, 0.489], [0.746, 0.219, 0.990], [0.753, 0.225, 0.259], [0.745, 0.225, 0.756], [0.258, 0.785, 0.261], [0.254, 0.782, 0.760], [0.247, 0.775, 0.491], [0.255, 0.775, 0.994]]}

#ii
{"formula": "Li5Mn3O8", "functional": "PBE with a Hubbard U", "state": "relaxed", "sg": "P2/m", "total_magnetization_mub_per_atom": 0.625, "vol_a3_per_cell": 147, "lattice_angstrom": [[2.904, 0.000, 0.000], [0.000, 5.204, 0.000], [0.000, 1.884, 9.705]], "species": ["Li", "Li", "Li", "Li", "Li", "Mn", "Mn", "Mn", "O", "O", "O", "O", "O", "O", "O", "O"], "frac_coords": [[0.000, 0.226, 0.276], [0.500, 0.262, 0.731], [0.000, 0.774, 0.724], [0.500, 0.738, 0.269], [0.500, 0.000, 0.500], [0.000, 0.000, 0.000], [0.000, 0.500, 0.500], [0.500, 0.500, 0.000], [0.000, 0.406, 0.885], [0.500, 0.386, 0.390], [0.000, 0.842, 0.382], [0.500, 0.880, 0.892], [0.000, 0.158, 0.618], [0.500, 0.120, 0.108], [0.000, 0.594, 0.115], [0.500, 0.614, 0.610]]}

#iii
{"formula": "Li5Mn3O8", "functional": "PBE with a Hubbard U", "state": "relaxed", "total_magnetization_mub_per_atom": 0.000, "vol_a3_per_cell": 285, "lattice_angstrom": [[5.753, 0.003, -0.002], [-2.875, 4.267, 2.935], [2.872, -4.301, 8.661]], "species": ["Li", "Li", "Li", "Li", "Li", "Li", "Li", "Li", "Li", "Li", "Mn", "Mn", "Mn", "Mn", "Mn", "Mn", "O", "O", "O", "O", "O", "O", "O", "O", "O", "O", "O", "O", "O", "O", "O", "O"], "frac_coords": [[0.000, 0.250, 0.250], [0.000, 0.750, 0.750], [0.500, 0.250, 0.250], [0.500, 0.750, 0.750], [0.500, 0.000, 0.000], [0.500, 0.500, 0.500], [0.000, 0.250, 0.750], [0.000, 0.750, 0.250], [0.500, 0.250, 0.750], [0.500, 0.750, 0.250], [0.000, 0.500, 0.500], [0.000, 0.000, 0.500], [0.500, 0.000, 0.500], [0.000, 0.000, 0.000], [0.000, 0.500, 0.000], [0.500, 0.500, 0.000], [0.751, 0.387, 0.886], [0.751, 0.887, 0.386], [0.249, 0.613, 0.114], [0.249, 0.113, 0.614], [0.261, 0.402, 0.880], [0.261, 0.902, 0.380], [0.739, 0.599, 0.120], [0.739, 0.099, 0.620], [0.737, 0.847, 0.893], [0.737, 0.347, 0.393], [0.214, 0.846, 0.893], [0.215, 0.346, 0.393], [0.263, 0.153, 0.107], [0.263, 0.653, 0.607], [0.786, 0.154, 0.107], [0.786, 0.654, 0.607]]}

Least stable: #ii

#i
{"formula": "MgW2O4", "functional": "PBE with a Hubbard U", "state": "relaxed", "sg": "Pbcm", "total_magnetization_mub_per_atom": 0.118, "vol_a3_per_cell": 299, "lattice_angstrom": [[-2.665, 1.020, 0.220], [-2.381, -7.496, 5.890], [2.893, 5.734, 8.467]], "species": ["Mg", "Mg", "Mg", "Mg", "W", "W", "W", "W", "W", "W", "W", "W", "O", "O", "O", "O", "O", "O", "O", "O", "O", "O", "O", "O", "O", "O", "O", "O"], "frac_coords": [[0.742, 0.332, 0.750], [0.742, 0.168, 0.250], [0.258, 0.832, 0.750], [0.258, 0.668, 0.250], [0.245, 0.090, 0.937], [0.245, 0.410, 0.437], [0.755, 0.910, 0.437], [0.245, 0.410, 0.063], [0.755, 0.910, 0.063], [0.245, 0.090, 0.563], [0.755, 0.590, 0.563], [0.755, 0.590, 0.937], [0.746, 0.943, 0.634], [0.254, 0.057, 0.366], [0.748, 0.250, 0.500], [0.254, 0.443, 0.634], [0.254, 0.443, 0.866], [0.241, 0.320, 0.250], [0.746, 0.557, 0.366], [0.759, 0.820, 0.250], [0.748, 0.250, 0.000], [0.252, 0.750, 0.500], [0.746, 0.943, 0.866], [0.759, 0.680, 0.750], [0.241, 0.180, 0.750], [0.252, 0.750, 0.000], [0.746, 0.557, 0.134], [0.254, 0.057, 0.134]]}

#ii
{"formula": "MgW2O4", "functional": "PBE with a Hubbard U", "state": "relaxed", "sg": "Pmmn", "total_magnetization_mub_per_atom": 0.857, "vol_a3_per_cell": 380, "lattice_angstrom": [[5.582, 0.000, 0.000], [0.000, 6.490, 0.000], [0.000, 0.000, 10.482]], "species": ["Mg", "Mg", "Mg", "Mg", "W", "W", "W", "W", "W", "W", "W", "W", "O", "O", "O", "O", "O", "O", "O", "O", "O", "O", "O", "O", "O", "O", "O", "O"], "frac_coords": [[0.356, 0.000, 0.500], [0.644, 0.500, 0.000], [0.047, 0.000, 0.000], [0.953, 0.500, 0.500], [0.019, 0.500, 0.228], [0.019, 0.500, 0.772], [0.981, 0.000, 0.272], [0.981, 0.000, 0.728], [0.500, 0.250, 0.250], [0.500, 0.750, 0.750], [0.500, 0.750, 0.250], [0.500, 0.250, 0.750], [0.374, 0.500, 0.134], [0.374, 0.500, 0.866], [0.626, 0.000, 0.366], [0.626, 0.000, 0.634], [0.705, 0.500, 0.347], [0.705, 0.500, 0.653], [0.295, 0.000, 0.153], [0.295, 0.000, 0.847], [0.164, 0.255, 0.363], [0.164, 0.745, 0.637], [0.836, 0.755, 0.137], [0.836, 0.245, 0.863], [0.836, 0.245, 0.137], [0.836, 0.755, 0.863], [0.164, 0.745, 0.363], [0.164, 0.255, 0.637]]}

Least stable: #i

#i
{"formula": "Na3CoF6", "functional": "PBE with a Hubbard U", "state": "relaxed", "sg": "Fm-3m", "total_magnetization_mub_per_atom": 0.000, "vol_a3_per_cell": 137, "lattice_angstrom": [[2.702, 4.205, 2.924], [-2.064, 1.754, 5.118], [2.882, -1.248, 4.866]], "species": ["Na", "Na", "Na", "Co", "F", "F", "F", "F", "F", "F"], "frac_coords": [[0.250, 0.250, 0.250], [0.750, 0.750, 0.750], [0.500, 0.500, 0.500], [0.000, 0.000, 0.000], [0.766, 0.234, 0.234], [0.234, 0.766, 0.766], [0.234, 0.766, 0.234], [0.766, 0.234, 0.766], [0.234, 0.234, 0.766], [0.766, 0.766, 0.234]]}

#ii
{"formula": "Na3CoF6", "functional": "PBE with a Hubbard U", "state": "relaxed", "sg": "P2_1/c", "vol_a3_per_cell": 259, "lattice_angstrom": [[-1.375, 5.176, -1.704], [-4.980, -2.032, -2.151], [-3.603, 1.490, 6.935]], "species": ["Na", "Na", "Na", "Na", "Na", "Na", "Co", "Co", "F", "F", "F", "F", "F", "F", "F", "F", "F", "F", "F", "F"], "frac_coords": [[0.007, 0.453, 0.262], [0.993, 0.547, 0.738], [0.493, 0.953, 0.238], [0.507, 0.047, 0.762], [0.000, 0.000, 0.500], [0.500, 0.500, 0.000], [0.000, 0.000, 0.000], [0.500, 0.500, 0.500], [0.159, 0.714, 0.067], [0.841, 0.286, 0.933], [0.341, 0.214, 0.433], [0.659, 0.786, 0.567], [0.899, 0.059, 0.225], [0.101, 0.941, 0.775], [0.601, 0.559, 0.275], [0.399, 0.441, 0.725], [0.297, 0.167, 0.040], [0.703, 0.833, 0.960], [0.203, 0.667, 0.460], [0.797, 0.333, 0.540]]}

Least stable: #i

#i
{"formula": "Mn4O7F", "functional": "PBE with a Hubbard U", "state": "relaxed", "sg": "Cc", "total_magnetization_mub_per_atom": 1.083, "vol_a3_per_cell": 243, "lattice_angstrom": [[4.962, 4.463, 0.000], [-4.962, 4.463, 0.000], [0.000, 4.310, 5.493]], "species": ["Mn", "Mn", "Mn", "Mn", "Mn", "Mn", "Mn", "Mn", "O", "O", "O", "O", "O", "O", "O", "O", "O", "O", "O", "O", "O", "O", "F", "F"], "frac_coords": [[0.541, 0.536, 0.163], [0.941, 0.448, 0.857], [0.448, 0.941, 0.357], [0.066, 0.057, 0.638], [0.949, 0.437, 0.354], [0.536, 0.541, 0.663], [0.057, 0.066, 0.138], [0.437, 0.949, 0.854], [0.976, 0.146, 0.391], [0.488, 0.652, 0.385], [0.850, 0.523, 0.113], [0.790, 0.119, 0.108], [0.652, 0.488, 0.885], [0.382, 0.201, 0.391], [0.119, 0.790, 0.608], [0.618, 0.288, 0.613], [0.201, 0.382, 0.891], [0.351, 0.027, 0.107], [0.288, 0.618, 0.113], [0.146, 0.976, 0.891], [0.523, 0.850, 0.613], [0.027, 0.351, 0.607], [0.718, 0.895, 0.879], [0.895, 0.718, 0.379]]}

#ii
{"formula": "Mn4O7F", "functional": "PBE with a Hubbard U", "state": "relaxed", "sg": "P2_1", "total_magnetization_mub_per_atom": 1.083, "vol_a3_per_cell": 244, "lattice_angstrom": [[8.952, 0.110, 0.000], [0.061, 5.494, 0.000], [0.000, 0.000, 4.968]], "species": ["Mn", "Mn", "Mn", "Mn", "Mn", "Mn", "Mn", "Mn", "O", "O", "O", "O", "O", "O", "O", "O", "O", "O", "O", "O", "O", "O", "F", "F"], "frac_coords": [[0.004, 0.165, 0.260], [0.001, 0.848, 0.736], [0.246, 0.335, 0.760], [0.249, 0.652, 0.236], [0.510, 0.867, 0.756], [0.499, 0.144, 0.250], [0.751, 0.356, 0.750], [0.740, 0.633, 0.256], [0.110, 0.108, 0.924], [0.116, 0.889, 0.411], [0.140, 0.392, 0.424], [0.134, 0.611, 0.911], [0.368, 0.385, 0.076], [0.387, 0.110, 0.580], [0.388, 0.893, 0.074], [0.620, 0.112, 0.926], [0.619, 0.889, 0.425], [0.630, 0.388, 0.426], [0.631, 0.611, 0.925], [0.863, 0.390, 0.080], [0.862, 0.607, 0.574], [0.882, 0.115, 0.576], [0.374, 0.623, 0.583], [0.876, 0.877, 0.083]]}

Least stable: #i